KPuO3 | meta-GGA r2SCAN | optimized geometry

It has space group Pm-3m (No. 221), with a = 4.2471 Å, b = 4.2471 Å, c = 4.2471 Å, α = 90.00°, β = 90.00° and γ = 90.00°. The inequivalent atoms are K at (0.0000, 0.0000, 0.0000), Pu at (0.5000, 0.5000, 0.5000) and O at (0.0000, 0.5000, 0.5000).

The total energy comes out at -24.886 eV/atom. The calculation puts the formation energy at -2828 meV per atom.



NiIr3 | meta-GGA r2SCAN | optimized geometry

It has space group I4/mmm (No. 139), with a = 3.7619 Å, b = 3.7619 Å, c = 7.6028 Å, α = 90.00°, β = 90.00° and γ = 90.00°. The inequivalent atoms are Ni at (0.0000, 0.0000, 0.0000), Ir at (0.0000, 0.0000, 0.5000) and Ir at (0.0000, 0.5000, 0.2500).

The total energy comes out at -42.253 eV/atom. The calculation puts the formation energy at 12 meV per atom.



MnCuSe4 | meta-GGA r2SCAN | optimized geometry

It has space group P2_1/c (No. 14), with a = 6.2357 Å, b = 6.2567 Å, c = 6.2494 Å, α = 90.00°, β = 90.40° and γ = 90.00°. The inequivalent atoms are Mn at (0.0000, 0.0000, 0.0000), Cu at (0.5000, 0.0000, 0.5000), Se at (0.1161, 0.1060, 0.6059) and Se at (0.3957, 0.6109, 0.6111).

The total energy comes out at -14.195 eV/atom. The calculation puts the formation energy at -399 meV per atom.



Sm2S3O12 | meta-GGA r2SCAN | optimized geometry

It has space group C2/c (No. 15), with a = 21.2991 Å, b = 6.6267 Å, c = 6.8230 Å, α = 90.00°, β = 107.09° and γ = 90.00°. The inequivalent atoms are Sm at (0.1319, 0.1448, 0.1318), S at (0.0000, 0.1688, 0.2500), S at (0.1837, 0.3185, 0.6799), O at (0.0248, 0.2888, 0.1092), O at (0.0559, 0.0370, 0.3605), O at (0.1474, 0.4933, 0.1274), O at (0.1520, 0.1887, 0.8041), O at (0.1778, 0.1971, 0.4940) and O at (0.2484, 0.1452, 0.2058).

The total energy comes out at -11.472 eV/atom. The calculation puts the formation energy at -2340 meV per atom.